Here is a relaxed structure of FeSe from Materials Project. Energies are from GGA-PBE.

Lattice parameters (Å, degrees): 3.8042 3.8042 5.0345 90.00 90.00 120.00
Closest atoms and distances in Å follow each position.
Positions (direct):
Fe1 0.0000 0.0000 0.0000  2 Fe 2.52, 6 Se 2.53
Fe2 0.0000 0.0000 0.5000  2 Fe 2.52, 6 Se 2.53
Se1 0.6667 0.3333 0.7500  6 Fe 2.53
Se2 0.3333 0.6667 0.2500  6 Fe 2.53

Corrected total energy (MP2020 scheme) in eV per atom: -6.3001
Symmetry: P6_3/mmc, No. 194
E_tot in eV per atom: -6.0641